The following is a GGA-PBE calculation of V3Cd after structural relaxation, from Materials Project.

extended XYZ file:
```
4
Lattice="3.933 0.000 0.000 0.000 3.933 0.000 0.000 0.000 3.933" Properties=species:S:1:pos:R:3 pbc="T T T"
V 0.000 0.000 1.966
V 0.000 1.966 0.000
V 1.966 0.000 0.000
Cd 1.966 1.966 1.966
```

Computed properties:
The total magnetic moment comes out at 0.36 μB per atom. The value obtained for the excess energy over the best structure of this formula in the dataset is 3.2 kJ/mol of atoms. Its space group is No. 221. As for the crystal system: cubic.

The following is a GGA-PBE calculation of Na2B4H8O11 after structural relaxation, from Materials Project.

extended XYZ file:
```
100
Lattice="7.123 0.000 0.000 0.000 9.194 0.000 -5.123 0.000 14.941" Properties=species:S:1:pos:R:3 pbc="T T T"
Na 0.313 0.329 2.838
Na -2.248 4.267 10.308
Na 0.031 1.188 6.388
Na -2.531 3.409 13.858
Na 4.531 5.785 1.082
Na 1.970 8.006 8.553
Na 4.249 4.926 4.633
Na 1.688 8.864 12.103
B -4.333 6.166 13.761
B -3.549 6.744 11.469
B -0.988 7.047 3.999
B -1.772 7.624 6.290
B -0.508 4.761 2.980
B -3.069 9.030 10.451
B 1.379 6.281 3.606
B -1.182 7.509 11.076
B 3.183 1.685 3.864
B 0.621 2.912 11.335
B 5.069 0.164 4.490
B 2.508 4.433 11.960
B 3.773 1.569 8.650
B 2.988 2.147 10.942
B 5.550 2.450 3.471
B 6.334 3.028 1.180
H 0.223 5.777 0.681
H -2.338 8.013 8.152
H -1.313 5.671 8.132
H 1.248 8.120 0.662
H -2.755 0.935 12.952
H -0.194 3.661 5.482
H 1.956 0.280 0.227
H -0.605 4.317 7.697
H -0.472 0.159 9.282
H 2.090 4.438 1.812
H -1.051 1.785 11.181
H 1.510 2.812 3.711
H -1.272 5.742 13.058
H 1.290 8.048 5.588
H -1.400 0.773 13.783
H 1.161 3.823 6.313
H 0.840 5.370 8.628
H 3.401 8.420 1.158
H 0.711 1.146 9.353
H 3.272 3.451 1.883
H 0.490 6.382 11.230
H 3.051 7.408 3.760
H -0.089 4.756 13.129
H 2.472 9.034 5.658
H 2.606 4.877 7.243
H 0.044 8.913 14.714
H 2.194 5.532 9.459
H 4.756 8.258 1.989
H 0.752 1.074 14.279
H 3.313 3.523 6.808
H 4.339 1.181 6.789
H 1.777 3.416 14.259
O -4.491 4.845 13.405
O -1.930 8.946 5.935
O -1.256 1.373 4.377
O -3.817 3.223 11.847
O -3.490 0.904 11.364
O -0.929 3.693 3.893
O -1.391 6.665 5.399
O -3.952 7.125 12.870
O 0.573 6.534 0.142
O -1.988 7.257 7.613
O -2.029 6.511 11.488
O 0.532 7.279 4.018
O -0.879 4.853 8.493
O 1.682 8.937 1.023
O 0.965 5.041 3.190
O -1.596 8.750 10.661
O -2.339 1.092 13.852
O 0.222 3.505 6.382
O 1.801 1.893 3.876
O -0.760 2.704 11.346
O 0.255 0.534 8.724
O 2.816 4.062 1.254
O -0.816 5.131 13.687
O 1.745 8.659 6.216
O 2.761 6.490 3.594
O 0.200 7.301 11.064
O 1.779 5.689 8.559
O 4.340 8.101 1.088
O 3.597 0.444 4.280
O 1.036 4.153 11.750
O 0.318 0.256 13.918
O 2.880 4.341 6.448
O 1.469 1.914 10.923
O 4.030 2.683 3.452
O 3.989 1.937 7.328
O 1.428 2.660 14.798
O 5.952 2.069 2.071
O 3.391 2.528 9.541
O 2.930 5.500 11.047
O 5.491 8.290 3.577
O 5.818 5.970 3.094
O 3.256 7.820 10.564
O 3.930 0.248 9.006
O 6.492 4.349 1.536
```

Computed properties:
The total magnetic moment comes out at 0.00 μB per atom. Its space group is No. 14. As for the crystal system: monoclinic.

The following is a GGA-PBE calculation of Tm2MgSe4 after structural relaxation, from Materials Project.

extended XYZ file:
```
28
Lattice="7.392 0.000 0.000 0.001 8.563 0.000 1.272 2.166 13.572" Properties=species:S:1:pos:R:3 pbc="T T T"
Tm 1.229 4.246 2.732
Tm 1.227 8.605 2.697
Tm 2.546 2.158 6.780
Tm 3.706 4.304 10.855
Tm 4.960 6.425 2.717
Tm 6.120 8.571 6.792
Tm 7.438 2.124 10.875
Tm 7.437 6.483 10.840
Mg 2.497 6.430 6.817
Mg 3.732 8.583 10.823
Mg 4.934 2.145 2.749
Mg 6.169 4.298 6.755
Se 1.231 4.324 5.393
Se 1.263 8.550 5.368
Se 2.533 6.509 11.864
Se 2.540 2.098 11.875
Se 2.458 6.423 1.669
Se 2.550 2.147 1.693
Se 3.692 8.556 8.254
Se 3.747 4.328 8.194
Se 4.918 6.401 5.378
Se 4.974 2.173 5.318
Se 6.116 8.582 11.879
Se 6.208 4.306 11.903
Se 6.125 8.630 1.697
Se 6.133 4.220 1.708
Se 7.402 2.179 8.204
Se 7.434 6.405 8.179
```

Computed properties:
The total magnetic moment comes out at 0.00 μB per atom. The value obtained for the excess energy over the best structure of this formula in the dataset is 18.2 kJ/mol of atoms. Its space group is No. 2. As for the crystal system: triclinic.

The following is a GGA-PBE calculation of GaCuCl4 after structural relaxation, from Materials Project.

extended XYZ file:
```
12
Lattice="5.579 0.000 0.000 0.000 5.579 0.000 0.000 0.000 10.231" Properties=species:S:1:pos:R:3 pbc="T T T"
Ga 0.000 2.789 2.558
Ga 2.789 0.000 7.674
Cu 0.000 0.000 0.000
Cu 0.000 0.000 5.116
Cl 1.273 1.493 1.283
Cl 1.273 4.086 3.833
Cl 1.493 1.273 6.399
Cl 1.493 4.306 8.948
Cl 4.086 1.273 8.948
Cl 4.086 4.306 6.399
Cl 4.306 1.493 3.833
Cl 4.306 4.086 1.283
```

Computed properties:
The calculation puts the piezoelectric modulus e_max at 0.0 C/m². Its space group is No. 112. As for the crystal system: tetragonal.

no.,formation energy (eV/atom),calculated total energy (eV/atom)
1,0.365,-6.678
2,-2.045,-6.180
3,-1.769,-5.005
4,-1.315,-3.326